Density functional theory data (PBE) for crystalline BaDyO3 at its relaxed geometry.

total moment	1.00	Bohr magnetons per cell
E (MP2020)	-36.969	eV/f.u.
total DFT energy (no corrections)	-0.2566	Ha/atom
formation energy from the elements	-15.60	eV per formula unit

Cell: 4.428 4.428 4.428 Å, 90.00 90.00 90.00°
Space group Pm-3m (No. 221)
Asymmetric unit:
1 Ba 0.000 0.000 0.000 (multiplicity 1)
2 Dy 0.500 0.500 0.500 (multiplicity 1)
3 O 0.000 0.500 0.500 (multiplicity 3)